A geometry-optimized Li3Mn2F7 structure. Source: Materials Project, functional PBE+U.

## Properties
As for the space-group type: No. 9.

```
Li3Mn2F7
1.0
3.1547 -0.2302 5.1296
4.6391 3.4149 1.7706
-5.2151 7.1493 5.4535
Li Mn F
6 4 14
Cartesian
0.2014 8.9910 7.7294
2.0207 3.4807 6.7864
3.6006 6.8979 7.1127
5.4767 1.5271 6.0412
0.5826 6.8458 5.5728
2.4029 1.3382 4.6274
1.3709 5.9387 8.9756
4.6955 4.1250 4.6261
-2.1135 6.2165 7.7346
1.2102 4.4005 3.3873
0.2185 9.3085 9.5933
-2.6836 6.6240 5.7318
-2.5054 4.2818 4.1718
2.6009 5.1809 7.3761
-0.1768 2.8021 3.2329
0.3378 1.2857 0.9119
2.2475 9.0551 11.4542
2.7722 7.5314 9.0967
-0.0140 5.1516 5.0096
5.0914 6.0610 8.1925
-0.0500 6.8716 7.6322
5.2676 3.6813 6.6238
2.3795 1.0515 2.7671
2.6310 3.4776 4.7390
```

A geometry-optimized CoP4O11 structure. Source: Materials Project, functional PBE+U.

## Properties
As for the space-group type: No. 14.

```
CoP4O11
1.0
12.4719 0.0000 0.0000
0.0000 8.2882 0.0000
0.0000 7.3849 8.5145
Co P O
4 16 44
Cartesian
5.8320 9.5108 6.2526
12.0680 9.8547 6.5192
0.4039 5.8184 1.9953
6.6399 6.1622 2.2619
2.6382 8.6096 5.1326
2.0595 9.0044 2.2604
6.1884 9.4715 2.9004
10.5706 9.9994 3.4181
4.3346 1.9813 0.8392
12.4244 2.5091 1.3569
8.8742 10.7559 7.6392
8.2955 2.9762 1.9968
4.1764 12.6969 6.5177
3.5977 4.9172 0.8753
0.0475 13.1640 7.1576
8.1373 13.6918 7.6753
1.9013 5.6737 5.0965
6.2835 6.2015 5.6142
10.4124 6.6687 6.2541
9.8337 7.0635 3.3819
11.2106 7.8813 6.4311
5.8556 8.0734 2.5219
9.7394 8.6882 3.6336
1.2717 8.9794 5.5670
3.8681 8.9744 5.8653
5.2071 8.9526 8.2492
2.9052 9.1042 3.5868
3.1811 9.1786 1.1244
11.2929 9.7922 2.0231
7.4929 9.9020 1.9955
6.3939 9.9455 4.2946
0.1579 9.4200 8.4772
1.2569 2.0787 2.2617
11.4431 10.4129 4.5225
10.1041 10.3911 6.9065
5.0569 2.1884 2.2341
7.5077 10.3861 7.2048
9.4170 2.8020 3.1328
9.1411 2.8764 0.6705
3.5034 3.2924 0.6236
4.9746 11.4842 6.3407
0.3804 11.7659 6.7792
12.0915 3.9072 1.7353
7.4973 4.1889 2.1738
8.9685 12.3806 7.8909
3.3308 12.7967 7.8440
3.0549 12.8711 5.3817
4.9643 5.2870 1.3098
7.4150 13.4847 6.2804
2.3679 5.2820 1.6080
1.0289 5.2602 3.9920
11.2150 13.5944 6.2528
12.3140 6.2530 0.0373
6.0780 5.7276 4.2200
4.9791 5.7711 6.5190
1.1791 5.8808 6.4914
9.2909 6.4944 7.3901
9.5668 6.5688 4.9277
7.2648 6.7204 0.2653
8.6038 6.6986 2.6492
11.2002 6.6936 2.9475
2.7325 6.9849 4.8809
6.6164 7.5996 5.9926
1.2614 7.7917 2.0834
```

A geometry-optimized KMoO3 structure. Source: Materials Project, functional PBE+U.

## Properties
As for the space-group type: No. 221.

```
KMoO3
1.0
-1.9603 3.3573 -0.9616
0.6836 -0.7125 -3.8812
-3.4247 -2.0639 -0.2243
K Mo O
1 1 3
Cartesian
-2.3507 0.2904 -2.5335
0.0000 0.0000 0.0000
-0.9801 1.6786 -0.4808
0.3418 -0.3562 -1.9406
-1.7123 -1.0320 -0.1122
```

A geometry-optimized Li9Mn2Co5O16 structure. Source: Materials Project, functional PBE+U.

## Properties
As for the space-group type: No. 2.

```
Li9Mn2Co5O16
1.0
5.1576 0.0000 0.0000
-1.6764 -5.5892 0.0000
-1.6099 0.4254 -10.0540
Li Mn Co O
9 2 5 16
Cartesian
0.8670 -4.8395 -1.3581
1.8112 -0.5640 -3.8388
0.9190 -1.8170 -6.2109
0.1897 -3.1258 -8.7306
1.6816 -2.0380 -1.3235
0.9523 -3.3467 -3.8431
0.0601 -4.5998 -6.2152
1.0043 -0.3242 -8.6960
-1.6431 -2.5819 -5.0270
0.0000 0.0000 0.0000
-0.8382 -2.7946 0.0000
-0.7916 -1.3190 -2.6670
2.6629 -3.8447 -7.3870
3.4607 -4.0436 -2.6170
-0.8049 0.2127 -5.0270
-1.5894 -1.1201 -7.4371
2.7656 -3.8587 -0.5392
1.8350 -5.1395 -3.1450
2.7873 -0.7330 -5.6879
1.9410 -2.1218 -8.2926
3.6278 -1.0614 -0.5945
2.6884 -2.3775 -3.0157
1.8414 -3.6065 -5.7709
1.1357 -4.9771 -8.2804
0.7356 -0.1866 -1.7737
0.0299 -1.5572 -4.2831
-0.8171 -2.7863 -7.0384
-1.7565 -4.1023 -9.4595
-0.0697 -3.0419 -1.7615
-0.9160 -4.4307 -4.3661
0.0363 -0.0242 -6.9090
-0.8943 -1.3051 -9.5149
```

A geometry-optimized MgTi4Cr2O10 structure. Source: Materials Project, functional PBE+U.

## Properties
As for the space-group type: No. 1.

```
MgTi4Cr2O10
1.0
-2.5031 3.5511 2.8737
2.1412 -4.5058 2.9257
5.5661 4.7218 -1.0896
Mg Ti Cr O
1 4 2 10
Cartesian
2.5222 2.8579 3.4998
0.1007 1.9967 2.2968
2.2714 -0.7415 2.8560
2.9133 4.6540 1.5889
5.1447 1.8019 2.3723
-0.3415 -0.9267 5.7766
2.8085 2.1441 -0.1878
4.1596 1.9485 4.3665
0.8454 1.8855 0.3420
4.2475 -0.2720 2.5599
4.5033 5.2613 0.5646
1.0683 3.8194 2.1683
0.7381 -1.4467 4.0537
3.6385 2.7975 1.7496
3.2525 4.7945 3.5323
1.5714 1.0948 3.0942
1.8315 -0.9754 1.1021
```

A geometry-optimized Na2CoP4H12O18 structure. Source: Materials Project, functional PBE+U.

## Properties
As for the space-group type: No. 11.

```
Na2CoP4H12O18
1.0
-1.6847 10.3034 5.0139
-7.7579 -0.1276 -2.3444
-5.4189 -3.8890 6.1710
Na Co P H O
4 2 8 24 36
Cartesian
-11.0592 0.3096 2.3362
-3.8022 5.9772 6.5042
-2.8077 2.1851 1.2546
-12.0538 4.1017 7.5858
-8.5097 -0.3537 4.5559
-6.3518 6.6405 4.2846
-6.9071 -3.2472 4.4155
-7.1200 4.4311 1.9418
-7.9543 9.5339 4.4250
-7.7415 1.8557 6.8986
-9.8095 2.6483 4.9071
-4.2434 -1.3062 1.5271
-5.0519 3.6385 3.9333
-10.6180 7.5930 7.3133
-4.9598 -2.4043 3.8001
-9.1255 3.9444 2.7305
-9.9017 8.6911 5.0403
-5.7359 2.3424 6.1100
-11.3785 1.7137 6.1947
-2.6611 -0.4530 0.1999
-3.4829 4.5731 2.6457
-12.2004 6.7398 8.6406
-10.4288 -2.0190 5.4711
-4.1982 6.8715 2.6714
-4.4327 8.3058 3.3693
-10.6633 -0.5847 6.1691
-6.2822 -0.1649 3.1259
-8.3538 5.0726 5.0434
-8.5792 6.4517 5.7145
-6.5077 1.2142 3.7970
-5.7223 -0.6737 6.1501
-9.1392 6.9605 2.6904
-8.7756 0.6078 0.6661
-5.8561 4.2736 7.4904
-6.0859 5.6790 8.1743
-9.0054 2.0132 1.3500
-12.1878 -0.9985 4.6451
-2.6737 7.2853 4.1954
-7.0354 7.0179 9.1827
-8.5696 3.8160 1.8705
-7.8261 -0.7312 -0.3423
-6.2919 2.4707 6.9699
-9.0142 5.7527 10.0787
-6.4599 4.2809 0.5850
-5.8472 0.5341 -1.2383
-8.4016 2.0059 8.2555
-7.3374 -1.9936 5.1505
-7.1249 5.8393 2.5020
-7.5240 8.2804 3.6899
-7.7366 0.4475 6.3384
-9.8608 3.9404 4.1110
-4.4285 -1.1530 3.0265
-5.0007 2.3464 4.7294
-10.4330 7.4398 5.8140
-11.0181 2.6481 5.9235
-3.2140 -0.2107 1.0438
-3.8434 3.6387 2.9170
-11.6475 6.4974 7.7967
-9.6998 1.3377 4.1622
-5.6002 7.6312 5.9834
-5.1617 4.9491 4.6782
-9.2613 -1.3444 2.8571
-8.4756 2.8416 5.8360
-5.6879 -0.8233 0.9274
-6.3858 3.4452 3.0045
-9.1735 7.1100 7.9131
-9.9634 -1.1842 5.7741
-4.8980 7.4710 3.0663
-6.9944 0.4526 3.4080
-7.8670 5.8341 5.4325
-4.7630 -0.5151 6.1465
-10.0984 6.8019 2.6940
-5.4096 4.9902 7.9925
-9.4519 1.2966 0.8479
```

Number 1: ΔE_f -3.014 eV/atom. Number 2: ΔE_f -2.429 eV/atom. Number 3: ΔE_f -2.047 eV/atom. Number 4: ΔE_f -1.791 eV/atom. Number 5: ΔE_f -2.930 eV/atom. Number 6: ΔE_f -1.901 eV/atom.